The following is a DFT calculation (GGA-PBE) of an optimized crystal structure of TiSi2O6.

Unit cell a=5.3239 b=8.8894 c=18.2132 alpha=90.00 beta=90.00 gamma=90.00
Fractional coordinates of all 72 atoms:
1 Ti 0.6179 0.6382 0.1262
2 Ti 0.1179 0.8618 0.1262
3 Ti 0.1179 0.3618 0.3738
4 Ti 0.6179 0.1382 0.3738
5 Ti 0.3821 0.8618 0.6262
6 Ti 0.8821 0.6382 0.6262
7 Ti 0.3821 0.3618 0.8738
8 Ti 0.8821 0.1382 0.8738
9 Si 0.6935 0.3316 0.0244
10 Si 0.1935 0.1684 0.0244
11 Si 0.4472 0.3332 0.2248
12 Si 0.9472 0.1668 0.2248
13 Si 0.4472 0.8332 0.2752
14 Si 0.9472 0.6668 0.2752
15 Si 0.6935 0.8316 0.4756
16 Si 0.1935 0.6684 0.4756
17 Si 0.8065 0.3316 0.5244
18 Si 0.3065 0.1684 0.5244
19 Si 0.0528 0.3332 0.7248
20 Si 0.5528 0.1668 0.7248
21 Si 0.0528 0.8332 0.7752
22 Si 0.5528 0.6668 0.7752
23 Si 0.8065 0.8316 0.9756
24 Si 0.3065 0.6684 0.9756
25 O 0.9265 0.2318 0.0550
26 O 0.4265 0.2682 0.0550
27 O 0.8119 0.8152 0.0664
28 O 0.3119 0.6848 0.0664
29 O 0.7261 0.5026 0.0565
30 O 0.2261 0.9974 0.0565
31 O 0.4315 0.8194 0.1842
32 O 0.9315 0.6806 0.1842
33 O 0.9902 0.9954 0.1941
34 O 0.4902 0.5046 0.1941
35 O 0.6802 0.2317 0.1949
36 O 0.1802 0.2683 0.1949
37 O 0.1802 0.7683 0.3051
38 O 0.6802 0.7317 0.3051
39 O 0.9902 0.4954 0.3059
40 O 0.4902 0.0046 0.3059
41 O 0.4315 0.3194 0.3158
42 O 0.9315 0.1806 0.3158
43 O 0.7261 0.0026 0.4435
44 O 0.2261 0.4974 0.4435
45 O 0.8119 0.3152 0.4336
46 O 0.3119 0.1848 0.4336
47 O 0.4265 0.7682 0.4450
48 O 0.9265 0.7318 0.4450
49 O 0.0735 0.2682 0.5550
50 O 0.5735 0.2318 0.5550
51 O 0.6881 0.8152 0.5664
52 O 0.1881 0.6848 0.5664
53 O 0.7739 0.5026 0.5565
54 O 0.2739 0.9974 0.5565
55 O 0.0685 0.8194 0.6842
56 O 0.5685 0.6806 0.6842
57 O 0.5098 0.9954 0.6941
58 O 0.0098 0.5046 0.6941
59 O 0.3198 0.2683 0.6949
60 O 0.8198 0.2317 0.6949
61 O 0.3198 0.7683 0.8051
62 O 0.8198 0.7317 0.8051
63 O 0.5098 0.4954 0.8059
64 O 0.0098 0.0046 0.8059
65 O 0.0685 0.3194 0.8158
66 O 0.5685 0.1806 0.8158
67 O 0.7739 0.0026 0.9435
68 O 0.2739 0.4974 0.9435
69 O 0.6881 0.3152 0.9336
70 O 0.1881 0.1848 0.9336
71 O 0.0735 0.7682 0.9450
72 O 0.5735 0.7318 0.9450

Results
- energy relative to the lowest polymorph listed for this composition (eV/atom) = 0.007
- symmetry = No. 61
- volume (Å³/f.u.) = 107.7
- energy of formation (kcal/mol of atoms) = -76.07



The following is a DFT calculation (GGA-PBE) of an optimized crystal structure of TiZnSi2O6.

Unit cell a=6.8022 b=6.8022 c=5.2942 alpha=76.43 beta=76.43 gamma=84.90
Fractional coordinates of all 20 atoms:
1 Ti 0.9176 0.0824 0.7500
2 Ti 0.0824 0.9176 0.2500
3 Zn 0.7415 0.2585 0.2500
4 Zn 0.2585 0.7415 0.7500
5 Si 0.3920 0.2120 0.7339
6 Si 0.7880 0.6080 0.7661
7 Si 0.2120 0.3920 0.2339
8 Si 0.6080 0.7880 0.2661
9 O 0.3751 0.3276 0.9792
10 O 0.6724 0.6249 0.5208
11 O 0.6249 0.6724 0.0208
12 O 0.3276 0.3751 0.4792
13 O 0.6260 0.1404 0.6320
14 O 0.8596 0.3740 0.8680
15 O 0.3740 0.8596 0.3680
16 O 0.1404 0.6260 0.1320
17 O 0.0316 0.2244 0.3433
18 O 0.7756 0.9684 0.1567
19 O 0.2244 0.0316 0.8433
20 O 0.9684 0.7756 0.6567

Results
- energy relative to the lowest polymorph listed for this composition (eV/atom) = 0.000
- symmetry = No. 15
- volume (Å³/f.u.) = 115.7
- energy of formation (kcal/mol of atoms) = -63.55



The following is a DFT calculation (GGA-PBE) of an optimized crystal structure of TiZnSi4O10.

Unit cell a=7.4442 b=7.4442 c=15.7265 alpha=90.00 beta=90.00 gamma=90.00
Fractional coordinates of all 64 atoms:
1 Ti 0.5000 0.0000 0.5749
2 Ti 0.0000 0.5000 0.9251
3 Ti 0.0000 0.5000 0.4251
4 Ti 0.5000 0.0000 0.0749
5 Zn 0.5000 0.5000 0.5000
6 Zn 0.0000 0.0000 0.5000
7 Zn 0.0000 0.0000 0.0000
8 Zn 0.5000 0.5000 0.0000
9 Si 0.1695 0.2516 0.6503
10 Si 0.8305 0.7484 0.6503
11 Si 0.2516 0.1695 0.8497
12 Si 0.7516 0.3305 0.6503
13 Si 0.2484 0.6695 0.6503
14 Si 0.3305 0.7516 0.8497
15 Si 0.6695 0.2484 0.8497
16 Si 0.7484 0.8305 0.8497
17 Si 0.3305 0.2484 0.3497
18 Si 0.6695 0.7516 0.3497
19 Si 0.2484 0.3305 0.1503
20 Si 0.7484 0.1695 0.3497
21 Si 0.2516 0.8305 0.3497
22 Si 0.1695 0.7484 0.1503
23 Si 0.8305 0.2516 0.1503
24 Si 0.7516 0.6695 0.1503
25 O 0.2594 0.1043 0.5874
26 O 0.7406 0.8957 0.5874
27 O 0.1043 0.2594 0.9126
28 O 0.6043 0.2406 0.5874
29 O 0.3957 0.7594 0.5874
30 O 0.2406 0.6043 0.9126
31 O 0.7594 0.3957 0.9126
32 O 0.8957 0.7406 0.9126
33 O 0.2406 0.3957 0.4126
34 O 0.7594 0.6043 0.4126
35 O 0.3957 0.2406 0.0874
36 O 0.8957 0.2594 0.4126
37 O 0.1043 0.7406 0.4126
38 O 0.2594 0.8957 0.0874
39 O 0.7406 0.1043 0.0874
40 O 0.2522 0.0469 0.3689
41 O 0.6043 0.7594 0.0874
42 O 0.7522 0.5469 0.6311
43 O 0.4531 0.2478 0.8689
44 O 0.9531 0.2522 0.6311
45 O 0.0469 0.7478 0.6311
46 O 0.2522 0.9531 0.8689
47 O 0.7478 0.0469 0.8689
48 O 0.5469 0.7522 0.8689
49 O 0.7030 0.7030 0.2500
50 O 0.7970 0.2030 0.2500
51 O 0.2030 0.7970 0.2500
52 O 0.2970 0.2970 0.2500
53 O 0.7970 0.7970 0.7500
54 O 0.7030 0.2970 0.7500
55 O 0.2970 0.7030 0.7500
56 O 0.2030 0.2030 0.7500
57 O 0.9531 0.7478 0.1311
58 O 0.7522 0.4531 0.1311
59 O 0.2478 0.5469 0.1311
60 O 0.4531 0.7522 0.3689
61 O 0.5469 0.2478 0.3689
62 O 0.0469 0.2522 0.1311
63 O 0.7478 0.9531 0.3689
64 O 0.2478 0.4531 0.6311

Results
- symmetry = No. 130
- volume (Å³/f.u.) = 217.9
- energy of formation (kcal/mol of atoms) = -66.05



The following is a DFT calculation (GGA-PBE) of an optimized crystal structure of TiZnSi2O6.

Unit cell a=5.3050 b=9.1514 c=18.6374 alpha=90.00 beta=90.00 gamma=90.00
Fractional coordinates of all 80 atoms:
1 Ti 0.3613 0.9777 0.8787
2 Ti 0.6387 0.0223 0.1213
3 Ti 0.8613 0.0223 0.6213
4 Ti 0.1387 0.9777 0.3787
5 Ti 0.3613 0.4777 0.6213
6 Ti 0.6387 0.5223 0.3787
7 Ti 0.8613 0.5223 0.8787
8 Ti 0.1387 0.4777 0.1213
9 Zn 0.6219 0.1502 0.3752
10 Zn 0.3781 0.8498 0.6248
11 Zn 0.6219 0.6502 0.1248
12 Zn 0.1219 0.8498 0.1248
13 Zn 0.8781 0.1502 0.8752
14 Zn 0.3781 0.3498 0.8752
15 Zn 0.1219 0.3498 0.3752
16 Zn 0.8781 0.6502 0.6248
17 Si 0.5541 0.6608 0.7691
18 Si 0.7029 0.8353 0.4746
19 Si 0.7971 0.8353 0.9746
20 Si 0.9459 0.1608 0.2309
21 Si 0.0541 0.3392 0.7309
22 Si 0.4459 0.8392 0.2691
23 Si 0.2029 0.6647 0.4746
24 Si 0.7029 0.3353 0.0254
25 Si 0.7971 0.3353 0.5254
26 Si 0.9459 0.6608 0.2691
27 Si 0.4459 0.3392 0.2309
28 Si 0.5541 0.1608 0.7309
29 Si 0.2971 0.1647 0.5254
30 Si 0.0541 0.8392 0.7691
31 Si 0.2971 0.6647 0.9746
32 Si 0.2029 0.1647 0.0254
33 O 0.9462 0.5029 0.3080
34 O 0.2930 0.0175 0.0660
35 O 0.0538 0.4971 0.6920
36 O 0.7123 0.3393 0.9373
37 O 0.2123 0.1607 0.9373
38 O 0.9042 0.2019 0.0513
39 O 0.9567 0.6607 0.1813
40 O 0.0433 0.8393 0.6813
41 O 0.7123 0.8393 0.5627
42 O 0.9567 0.1607 0.3187
43 O 0.4462 0.4971 0.1920
44 O 0.7877 0.3393 0.4373
45 O 0.7070 0.9825 0.9340
46 O 0.4567 0.8393 0.1813
47 O 0.5538 0.0029 0.6920
48 O 0.2930 0.5175 0.4340
49 O 0.4462 0.9971 0.3080
50 O 0.1714 0.7710 0.2998
51 O 0.3286 0.7710 0.7998
52 O 0.5958 0.7019 0.9487
53 O 0.7877 0.8393 0.0627
54 O 0.5433 0.6607 0.6813
55 O 0.7930 0.4825 0.0660
56 O 0.1714 0.2710 0.2002
57 O 0.2877 0.1607 0.4373
58 O 0.5433 0.1607 0.8187
59 O 0.7070 0.4825 0.5660
60 O 0.2123 0.6607 0.5627
61 O 0.2070 0.5175 0.9340
62 O 0.6714 0.7290 0.2998
63 O 0.0538 0.9971 0.8080
64 O 0.8286 0.7290 0.7998
65 O 0.8286 0.2290 0.7002
66 O 0.7930 0.9825 0.4340
67 O 0.2877 0.6607 0.0627
68 O 0.2070 0.0175 0.5660
69 O 0.3286 0.2710 0.7002
70 O 0.0958 0.7981 0.9487
71 O 0.4042 0.7981 0.4487
72 O 0.6714 0.2290 0.2002
73 O 0.4042 0.2981 0.0513
74 O 0.5958 0.2019 0.5513
75 O 0.0958 0.2981 0.5513
76 O 0.4567 0.3393 0.3187
77 O 0.5538 0.5029 0.8080
78 O 0.9042 0.7019 0.4487
79 O 0.0433 0.3393 0.8187
80 O 0.9462 0.0029 0.1920

Results
- energy relative to the lowest polymorph listed for this composition (eV/atom) = 0.051
- symmetry = No. 61
- volume (Å³/f.u.) = 113.1
- energy of formation (kcal/mol of atoms) = -62.37



The following is a DFT calculation (GGA-PBE) of an optimized crystal structure of TlSiO3.

Unit cell a=3.7048 b=3.7048 c=3.7048 alpha=90.00 beta=90.00 gamma=90.00
Fractional coordinates of all 5 atoms:
1 Tl 0.0000 0.0000 0.0000
2 Si 0.5000 0.5000 0.5000
3 O 0.5000 0.5000 0.0000
4 O 0.5000 0.0000 0.5000
5 O 0.0000 0.5000 0.5000

Results
- symmetry = No. 221
- volume (Å³/f.u.) = 50.9
- energy of formation (kcal/mol of atoms) = -42.94



The following is a DFT calculation (GGA-PBE) of an optimized crystal structure of Tl32Si8O37.

Unit cell a=9.9590 b=12.9158 c=13.9484 alpha=105.48 beta=91.04 gamma=105.74
Fractional coordinates of all 77 atoms:
1 Tl 0.4346 0.8226 0.3305
2 Tl 0.2665 0.5950 0.6202
3 Tl 0.6861 0.0863 0.0851
4 Tl 0.9619 0.3141 0.8288
5 Tl 0.6309 0.2932 0.4649
6 Tl 0.4714 0.1040 0.7876
7 Tl 0.9546 0.5672 0.2616
8 Tl 0.2104 0.8062 0.0138
9 Tl 0.1026 0.8489 0.2776
10 Tl 0.9017 0.5891 0.5039
11 Tl 0.3246 0.0730 0.0020
12 Tl 0.6528 0.3651 0.7396
13 Tl 0.7954 0.0516 0.8434
14 Tl 0.5454 0.8164 0.0978
15 Tl 0.0051 0.3410 0.5748
16 Tl 0.2862 0.5243 0.3340
17 Tl 0.5275 0.8583 0.6029
18 Tl 0.3160 0.5593 0.8614
19 Tl 0.7695 0.0528 0.3531
20 Tl 0.0196 0.3073 0.0879
21 Tl 0.3598 0.0823 0.5038
22 Tl 0.1677 0.8308 0.7595
23 Tl 0.5848 0.3222 0.2170
24 Tl 0.9028 0.5632 0.9966
25 Tl 0.8154 0.8257 0.4379
26 Tl 0.6515 0.6468 0.6750
27 Tl 0.0125 0.0270 0.1629
28 Tl 0.3499 0.3519 0.0167
29 Tl 0.0500 0.0485 0.6413
30 Tl 0.8432 0.7996 0.9321
31 Tl 0.2043 0.2306 0.3613
32 Tl 0.6102 0.5831 0.1451
33 Si 0.1883 0.8123 0.5090
34 Si 0.9563 0.5841 0.7578
35 Si 0.3933 0.0616 0.2282
36 Si 0.6785 0.3294 0.9833
37 Si 0.7326 0.1100 0.5969
38 Si 0.5193 0.8446 0.8512
39 Si 0.9286 0.3322 0.3239
40 Si 0.2424 0.5982 0.1015
41 O 0.2021 0.7509 0.3917
42 O 0.8964 0.5069 0.6430
43 O 0.4410 0.9884 0.1242
44 O 0.6993 0.2533 0.8718
45 O 0.8174 0.2398 0.6627
46 O 0.5515 0.9827 0.8930
47 O 0.0293 0.4607 0.3801
48 O 0.3011 0.7352 0.1569
49 O 0.6169 0.1144 0.5130
50 O 0.4358 0.7982 0.7366
51 O 0.8089 0.3479 0.2478
52 O 0.1345 0.5852 0.0023
53 O 0.3469 0.9035 0.5602
54 O 0.1283 0.6306 0.7723
55 O 0.5276 0.1758 0.2794
56 O 0.8395 0.4080 0.0388
57 O 0.6767 0.7734 0.5690
58 O 0.8411 0.7130 0.0438
59 O 0.0206 0.0459 0.3118
60 O 0.4602 0.4219 0.1994
61 O 0.3519 0.9906 0.3109
62 O 0.1432 0.7218 0.5757
63 O 0.6021 0.2422 0.0490
64 O 0.8899 0.5001 0.8295
65 O 0.6505 0.0412 0.6763
66 O 0.4294 0.7758 0.9243
67 O 0.8580 0.2703 0.4084
68 O 0.1601 0.5223 0.1726
69 O 0.9661 0.9779 0.0106
70 O 0.2621 0.1035 0.1901
71 O 0.5904 0.4179 0.9772
72 O 0.8959 0.6973 0.7874
73 O 0.0785 0.8883 0.5156
74 O 0.0200 0.2579 0.2520
75 O 0.3748 0.5557 0.0529
76 O 0.6768 0.8193 0.8377
77 O 0.8419 0.0430 0.5392

Results
- symmetry = No. 1
- volume (Å³/f.u.) = 1656.3
- energy of formation (kcal/mol of atoms) = -38.10



The following is a DFT calculation (GGA-PBE) of an optimized crystal structure of USiO3.

Unit cell a=3.7956 b=3.7956 c=3.7956 alpha=90.00 beta=90.00 gamma=90.00
Fractional coordinates of all 5 atoms:
1 U 0.0000 0.0000 0.0000
2 Si 0.5000 0.5000 0.5000
3 O 0.5000 0.5000 0.0000
4 O 0.5000 0.0000 0.5000
5 O 0.0000 0.5000 0.5000

Results
- symmetry = No. 221
- volume (Å³/f.u.) = 54.7
- energy of formation (kcal/mol of atoms) = -56.57



The following is a DFT calculation (GGA-PBE) of an optimized crystal structure of USiO7.

Unit cell a=7.1717 b=8.8463 c=8.8463 alpha=132.86 beta=90.00 gamma=90.00
Fractional coordinates of all 18 atoms:
1 U 0.0000 0.8040 0.2100
2 U 0.0000 0.2100 0.8040
3 Si 0.0000 0.4030 0.6096
4 Si 0.0000 0.6096 0.4030
5 O 0.2488 0.2045 0.8104
6 O 0.7512 0.8104 0.2045
7 O 0.7512 0.2045 0.8104
8 O 0.2488 0.8104 0.2045
9 O 0.0000 0.5164 0.8521
10 O 0.0000 0.8521 0.5164
11 O 0.0000 0.1613 0.4988
12 O 0.0000 0.4988 0.1613
13 O 0.1926 0.4592 0.5496
14 O 0.8074 0.5496 0.4592
15 O 0.8074 0.4592 0.5496
16 O 0.1926 0.5496 0.4592
17 O 0.0000 0.0485 0.9729
18 O 0.0000 0.9729 0.0485

Results
- symmetry = No. 38
- volume (Å³/f.u.) = 205.7
- energy of formation (kcal/mol of atoms) = -48.46



The following is a DFT calculation (GGA-PBE) of an optimized crystal structure of Y2SiO5.

Unit cell a=6.9551 b=6.7492 c=9.1439 alpha=73.62 beta=90.00 gamma=90.00
Fractional coordinates of all 32 atoms:
1 Y 0.6408 0.9350 0.8772
2 Y 0.3592 0.0650 0.1228
3 Y 0.1408 0.5650 0.1228
4 Y 0.8592 0.4350 0.8772
5 Y 0.1254 0.7319 0.4729
6 Y 0.6254 0.7681 0.5271
7 Y 0.3746 0.2319 0.4729
8 Y 0.8746 0.2681 0.5271
9 Si 0.4122 0.4710 0.7994
10 Si 0.9122 0.0290 0.2006
11 Si 0.5878 0.5290 0.2006
12 Si 0.0878 0.9710 0.7994
13 O 0.8810 0.5588 0.6139
14 O 0.1351 0.0099 0.6150
15 O 0.5732 0.6570 0.7925
16 O 0.7215 0.0247 0.1019
17 O 0.1190 0.4412 0.3861
18 O 0.0481 0.2314 0.1265
19 O 0.3810 0.9412 0.3861
20 O 0.4268 0.3430 0.2075
21 O 0.2215 0.4753 0.8981
22 O 0.2785 0.9753 0.8981
23 O 0.5481 0.2686 0.8735
24 O 0.9268 0.1570 0.7925
25 O 0.6190 0.0588 0.6139
26 O 0.9519 0.7686 0.8735
27 O 0.0732 0.8430 0.2075
28 O 0.3649 0.5099 0.6150
29 O 0.6351 0.4901 0.3850
30 O 0.7785 0.5247 0.1019
31 O 0.8649 0.9901 0.3850
32 O 0.4519 0.7314 0.1265

Results
- energy relative to the lowest polymorph listed for this composition (eV/atom) = 0.025
- symmetry = No. 14
- volume (Å³/f.u.) = 103.0
- energy of formation (kcal/mol of atoms) = -86.86